[1]
A plane-wave DFT calculation with PBE-GGA was carried out for a relaxed Ti9Ni2B8Ru18 crystal.

Summary:
- Size of the total moment: 0.0 μB/f.u.
- Symmetry: P4/mbm, No. 127
- Total energy: -645.0 eV for the cell shown

The structure in extended XYZ format:
```
74
Lattice="17.6078 0.0000 0.0000 0.0000 17.6078 0.0000 0.0000 0.0000 2.9941" Properties=species:S:1:pos:R:3 pbc="T T T"
Ti 5.3551 14.1589 1.4971
Ti 12.2527 3.4488 1.4971
Ti 14.1589 12.2527 1.4971
Ti 3.4488 5.3551 1.4971
Ti 0.0000 0.0000 1.4971
Ti 8.8039 8.8039 1.4971
Ti 3.2832 0.6096 1.4971
Ti 14.3246 16.9982 1.4971
Ti 12.0871 8.1943 1.4971
Ti 5.5207 9.4135 1.4971
Ti 16.9982 3.2832 1.4971
Ti 0.6096 14.3246 1.4971
Ti 9.4135 12.0871 1.4971
Ti 8.1943 5.5207 1.4971
Ti 5.7991 3.0048 1.4971
Ti 11.8087 14.6029 1.4971
Ti 14.6029 5.7991 1.4971
Ti 3.0048 11.8087 1.4971
Ni 7.9098 0.8941 1.4971
Ni 9.6980 16.7137 1.4971
Ni 16.7137 7.9098 1.4971
Ni 0.8941 9.6980 1.4971
B 2.9864 15.4695 1.4971
B 14.6214 2.1383 1.4971
B 11.7903 10.9422 1.4971
B 5.8175 6.6656 1.4971
B 2.1383 2.9864 1.4971
B 15.4695 14.6214 1.4971
B 6.6656 11.7903 1.4971
B 10.9422 5.8175 1.4971
B 5.9227 16.9355 1.4971
B 11.6851 0.6723 1.4971
B 14.7266 9.4762 1.4971
B 2.8812 8.1316 1.4971
B 0.6723 5.9227 1.4971
B 16.9355 11.6851 1.4971
B 8.1316 14.7266 1.4971
B 9.4762 2.8812 1.4971
Ru 4.4744 16.1838 0.0000
Ru 13.1334 1.4239 0.0000
Ru 13.2783 10.2278 0.0000
Ru 4.3295 7.3799 0.0000
Ru 1.4239 4.4744 0.0000
Ru 16.1838 13.1334 0.0000
Ru 7.3799 13.2783 0.0000
Ru 10.2278 4.3295 0.0000
Ru 7.3522 16.1561 0.0000
Ru 10.2556 1.4517 0.0000
Ru 16.1561 10.2556 0.0000
Ru 1.4517 7.3522 0.0000
Ru 5.8144 0.8894 0.0000
Ru 11.7934 16.7184 0.0000
Ru 14.6183 7.9145 0.0000
Ru 2.9895 9.6933 0.0000
Ru 16.7184 5.8144 0.0000
Ru 0.8894 11.7934 0.0000
Ru 9.6933 14.6183 0.0000
Ru 7.9145 2.9895 0.0000
Ru 2.9639 13.8845 0.0000
Ru 14.6439 3.7233 0.0000
Ru 11.7678 12.5272 0.0000
Ru 5.8400 5.0806 0.0000
Ru 3.7233 2.9639 0.0000
Ru 13.8845 14.6439 0.0000
Ru 5.0806 11.7678 0.0000
Ru 12.5272 5.8400 0.0000
Ru 1.7168 16.3757 0.0000
Ru 15.8910 1.2321 0.0000
Ru 10.5207 10.0360 0.0000
Ru 7.0871 7.5718 0.0000
Ru 1.2321 1.7168 0.0000
Ru 16.3757 15.8910 0.0000
Ru 7.5718 10.5207 0.0000
Ru 10.0360 7.0871 0.0000
```

[2]
A plane-wave DFT calculation with PBE-GGA was carried out for a relaxed Ni21B6Sb2 crystal.

Summary:
- Symmetry: Fm-3m, No. 225
- Total energy: -177.4 eV for the cell shown
- E (MP2020): -6.13 eV/atom

The structure in extended XYZ format:
```
29
Lattice="-4.5115 2.3369 5.4908 -6.2308 3.8009 -1.6411 -6.6943 -3.1989 0.9572" Properties=species:S:1:pos:R:3 pbc="T T T"
Ni -4.4444 -2.1238 0.6355
Ni -7.6386 3.2882 2.5165
Ni -9.5837 2.8871 1.0891
Ni -5.0893 2.8289 3.0938
Ni -6.5385 -0.8463 0.0840
Ni -2.9952 1.5515 3.6454
Ni -2.2499 -1.0751 0.3217
Ni -2.0941 1.2774 -0.5516
Ni -5.9607 -1.3384 2.4809
Ni -5.2451 0.4764 3.9671
Ni -1.5163 0.7854 1.8454
Ni -4.1367 2.5234 -1.0895
Ni -9.7980 -0.3493 2.2904
Ni -6.3866 1.4483 -0.7678
Ni -5.6530 3.3089 0.7559
Ni 0.0000 0.0000 0.0000
Ni -7.8529 0.0518 3.7179
Ni -8.6479 0.7287 0.4204
Ni -6.7028 1.1297 1.8478
Ni -8.7887 2.2102 4.3866
Ni -10.7338 1.8092 2.9591
B -9.6431 3.6025 3.0643
B -9.8549 0.4042 4.2515
B -7.5817 2.5347 0.5554
B -6.7961 1.8658 3.8141
B -10.6405 1.0731 0.9928
B -7.7935 -0.6636 1.7427
Sb -4.3592 0.7347 1.2017
Sb -13.0775 2.2042 3.6052
```

[3]
A plane-wave DFT calculation with PBE-GGA was carried out for a relaxed Sc3Ni20B6 crystal.

Summary:
- Size of the total moment: 0.1 μB/f.u.
- Symmetry: Fm-3m, No. 225
- Total energy: -187.4 eV for the cell shown

The structure in extended XYZ format:
```
29
Lattice="6.6194 0.3703 3.5321 0.4528 3.1366 6.8107 1.2835 -4.2886 6.0324" Properties=species:S:1:pos:R:3 pbc="T T T"
Sc 0.0000 0.0000 0.0000
Sc 6.2667 -0.5862 12.2814
Sc 2.0889 -0.1954 4.0938
Ni 4.5451 1.4758 7.3035
Ni 4.9239 -1.9103 6.9486
Ni 2.1118 -0.6488 8.4438
Ni 5.1304 -0.4799 10.0545
Ni 3.8105 -2.2574 9.0716
Ni 3.4317 1.1287 9.4266
Ni 6.2438 -0.1328 7.9314
Ni 3.2252 -0.3017 6.3207
Ni 0.4402 -1.4708 2.0689
Ni 4.7894 -1.2275 4.3896
Ni 0.7377 0.5901 6.5438
Ni 4.5045 1.3191 4.6565
Ni 0.1553 1.0757 2.3358
Ni 0.9986 -1.7420 6.2993
Ni 2.5677 2.1879 5.6863
Ni 3.1135 -2.6907 5.1749
Ni 2.2702 0.1270 1.2114
Ni 0.8433 -2.8178 3.9635
Ni 0.2975 2.0609 4.4749
Ni 4.3492 0.2433 2.3207
B 5.5262 1.4250 9.1916
B 2.4425 1.2525 7.5462
B 5.3153 -0.0362 6.0188
B 2.8295 -2.2066 7.1836
B 5.9132 -2.0341 8.8290
B 3.0404 -0.7454 10.3564
```

[4]
A plane-wave DFT calculation with PBE-GGA was carried out for a relaxed Si4Ni9B2 crystal.

Summary:
- Size of the total moment: 0.0 μB/f.u.
- Symmetry: I-42m, No. 121
- Total energy: -94.1 eV for the cell shown

The structure in extended XYZ format:
```
15
Lattice="0.0000 0.0000 4.1629 -4.3308 4.3308 2.0814 -4.3308 -4.3308 -2.0814" Properties=species:S:1:pos:R:3 pbc="T T T"
Si -2.9646 1.3662 2.2013
Si -5.6970 -1.3662 2.2013
Si -5.6970 1.3662 4.0430
Si -2.9646 -1.3662 -0.1199
Ni -6.8817 0.6828 2.0817
Ni -1.7799 -0.6828 2.0817
Ni -1.7799 0.6828 4.1627
Ni -6.8817 -0.6828 -0.0002
Ni -3.6480 2.5509 4.1627
Ni -5.0136 -2.5509 -0.0002
Ni -3.6480 -2.5509 2.0817
Ni -5.0136 2.5509 2.0817
Ni -4.3308 0.0000 1.0407
B 0.0000 0.0000 1.0407
B 0.0000 0.0000 3.1222
```

[5]
A plane-wave DFT calculation with PBE-GGA was carried out for a relaxed SmNi12B6 crystal.

Summary:
- Size of the total moment: 0.0 μB/f.u.
- Symmetry: Cmc2_1, No. 36
- Total energy: -243.4 eV for the cell shown

The structure in extended XYZ format:
```
38
Lattice="-2.7535 1.1695 -5.2408 -2.7610 -4.9283 2.1221 -7.3095 6.3598 5.2596" Properties=species:S:1:pos:R:3 pbc="T T T"
Sm -8.2345 0.0324 0.0184
Sm -8.2110 5.7195 4.7284
Ni -9.8322 3.7109 3.0632
Ni -5.4486 1.0277 0.8456
Ni -5.0378 -2.3077 -1.9164
Ni -5.5830 2.9917 2.4720
Ni -9.0852 1.3359 2.7226
Ni -9.0833 2.9329 0.7942
Ni -3.5066 1.0630 -0.7487
Ni -3.5086 -0.5340 1.1797
Ni -8.3546 0.6301 5.0849
Ni -8.3491 5.1217 -0.3385
Ni -4.5494 2.0405 -2.8864
Ni -4.5550 -2.4510 2.5370
Ni -6.7165 3.0386 0.1089
Ni -6.7194 0.6799 2.9569
Ni -3.4417 -2.7570 0.1139
Ni -3.4388 -0.3983 -2.7341
Ni -11.3326 1.7856 3.7364
Ni -11.3298 4.0151 1.0443
Ni -4.2205 3.1899 0.3682
Ni -4.2233 0.9604 3.0603
Ni -7.5581 4.4404 2.0466
Ni -7.5601 2.8458 3.9721
Ni -5.6383 -1.5154 0.3622
Ni -5.6364 0.0792 -1.5632
B -10.7298 2.1812 1.7954
B -3.3681 1.5281 1.2621
B -7.4828 2.3459 1.9351
B -3.9746 -0.9339 -0.7775
B -9.4560 2.2890 4.5552
B -9.4527 4.9114 1.3887
B -5.3503 2.0367 -0.9879
B -5.3535 -0.5858 2.1786
B -8.3797 -0.4406 3.2635
B -8.3753 3.1327 -1.0512
B -2.5750 1.4152 -2.4676
B -2.5795 -2.1581 1.8471
```

[6]
A plane-wave DFT calculation with PBE-GGA was carried out for a relaxed TaNiB2 crystal.

Summary:
- Symmetry: Pnma, No. 62
- Total energy: -134.1 eV for the cell shown

The structure in extended XYZ format:
```
16
Lattice="-2.5693 -1.5916 -0.7487 1.9939 -4.7204 3.1924 -3.7509 2.9213 6.6622" Properties=species:S:1:pos:R:3 pbc="T T T"
Ta -3.6318 1.5097 6.0167
Ta -0.6946 -4.9004 3.0893
Ta -1.7529 -1.5374 6.0463
Ta -2.5735 -1.8533 3.0596
Ni -4.2473 -0.9668 6.9188
Ni -2.2469 -4.1085 6.7328
Ni -0.0791 -2.4239 2.1871
Ni -2.0795 0.7178 2.3732
B -0.9289 -0.7197 1.4805
B -3.3975 -2.6710 7.6255
B -0.5482 -2.6000 4.1711
B -3.7782 -0.7907 4.9349
B -2.3216 0.1427 4.4266
B -1.6998 -2.1871 0.7707
B -2.6266 -1.2036 8.3352
B -2.0048 -3.5334 4.6794
```

What did the fifth record say?
A plane-wave DFT calculation with PBE-GGA was carried out for a relaxed SmNi12B6 crystal.

Summary:
- Size of the total moment: 0.0 μB/f.u.
- Symmetry: Cmc2_1, No. 36
- Total energy: -243.4 eV for the cell shown

The structure in extended XYZ format:
```
38
Lattice="-2.7535 1.1695 -5.2408 -2.7610 -4.9283 2.1221 -7.3095 6.3598 5.2596" Properties=species:S:1:pos:R:3 pbc="T T T"
Sm -8.2345 0.0324 0.0184
Sm -8.2110 5.7195 4.7284
Ni -9.8322 3.7109 3.0632
Ni -5.4486 1.0277 0.8456
Ni -5.0378 -2.3077 -1.9164
Ni -5.5830 2.9917 2.4720
Ni -9.0852 1.3359 2.7226
Ni -9.0833 2.9329 0.7942
Ni -3.5066 1.0630 -0.7487
Ni -3.5086 -0.5340 1.1797
Ni -8.3546 0.6301 5.0849
Ni -8.3491 5.1217 -0.3385
Ni -4.5494 2.0405 -2.8864
Ni -4.5550 -2.4510 2.5370
Ni -6.7165 3.0386 0.1089
Ni -6.7194 0.6799 2.9569
Ni -3.4417 -2.7570 0.1139
Ni -3.4388 -0.3983 -2.7341
Ni -11.3326 1.7856 3.7364
Ni -11.3298 4.0151 1.0443
Ni -4.2205 3.1899 0.3682
Ni -4.2233 0.9604 3.0603
Ni -7.5581 4.4404 2.0466
Ni -7.5601 2.8458 3.9721
Ni -5.6383 -1.5154 0.3622
Ni -5.6364 0.0792 -1.5632
B -10.7298 2.1812 1.7954
B -3.3681 1.5281 1.2621
B -7.4828 2.3459 1.9351
B -3.9746 -0.9339 -0.7775
B -9.4560 2.2890 4.5552
B -9.4527 4.9114 1.3887
B -5.3503 2.0367 -0.9879
B -5.3535 -0.5858 2.1786
B -8.3797 -0.4406 3.2635
B -8.3753 3.1327 -1.0512
B -2.5750 1.4152 -2.4676
B -2.5795 -2.1581 1.8471
```

> What is the total energy in the fifth record?

-243.4 eV for the cell shown

> Number 5 is which compound?

SmNi12B6